A relaxed Li4MnCo2O7 crystal, computed with PBE+U.

Cell and atoms, written as POSCAR:
```
Li4MnCo2O7
1.0
2.9709 0.0000 0.0000
0.1147 5.0833 0.0000
0.6684 0.3116 16.7658
Li Mn Co O
8 2 4 14
direct
0.9180 0.6249 0.1439
0.3648 0.7884 0.2858
0.7876 0.9310 0.4277
0.2164 0.0727 0.5708
0.6452 0.2151 0.7128
0.0740 0.3614 0.8555
0.4897 0.4923 0.0054
0.4427 0.1588 0.1416
0.9967 0.0119 0.0058
0.1427 0.7080 0.7131
0.8684 0.2825 0.2807
0.2841 0.4269 0.4272
0.7144 0.5687 0.5674
0.5609 0.8509 0.8586
0.4866 0.8458 0.0634
0.8886 0.9989 0.2251
0.2988 0.1353 0.3574
0.7139 0.2670 0.4992
0.1909 0.4110 0.6407
0.5683 0.5419 0.7853
0.0181 0.7075 0.9266
0.4260 0.4589 0.2210
0.8514 0.5705 0.3562
0.2379 0.7258 0.4965
0.7182 0.8733 0.6398
0.1118 0.0115 0.7882
0.5104 0.1545 0.9371
0.9734 0.3045 0.0669
```

- Relative energy among the computed polymorphs: 50.5 meV per atom
- Total DFT energy (no corrections): -0.4282 Ry per atom